No. 1
Compound: EuErO3
Source: the Materials Project database
Functional: PBE
Structure: relaxed Values from VASP.

```
&SYSTEM
  ibrav = 0, nat = 5, ntyp = 3
/
ATOMIC_SPECIES
Eu 151.96 Eu.upf
Er 167.26 Er.upf
O 16.00 O.upf
CELL_PARAMETERS angstrom
4.304 0.000 0.000
0.000 4.304 0.000
0.000 0.000 4.304
ATOMIC_POSITIONS angstrom
Eu 0.000 0.000 0.000
Er 2.152 2.152 2.152
O 0.000 2.152 2.152
O 2.152 0.000 2.152
O 2.152 2.152 0.000
```

=====

No. 2
Compound: Cr4InCuSe8
Source: the Materials Project database
Functional: PBE
Structure: relaxed Values from VASP.

```
&SYSTEM
  ibrav = 0, nat = 14, ntyp = 4
/
ATOMIC_SPECIES
Cr 52.00 Cr.upf
In 114.82 In.upf
Cu 63.55 Cu.upf
Se 78.96 Se.upf
CELL_PARAMETERS angstrom
0.000 5.352 5.352
5.352 0.000 5.352
5.352 5.352 0.000
ATOMIC_POSITIONS angstrom
Cr 4.062 4.062 4.062
Cr 6.642 6.642 4.062
Cr 6.642 4.062 6.642
Cr 4.062 6.642 6.642
In 0.000 0.000 0.000
Cu 8.028 8.028 8.028
Se 1.504 1.504 1.504
Se 3.848 3.848 1.504
Se 3.848 1.504 3.848
Se 6.593 4.110 4.110
Se 1.504 3.848 3.848
Se 4.110 6.593 4.110
Se 4.110 4.110 6.593
Se 6.593 6.593 6.593
```

=====

No. 3
Compound: YZr3F15
Source: the Materials Project database
Functional: PBE
Structure: relaxed Values from VASP.

```
&SYSTEM
  ibrav = 0, nat = 38, ntyp = 3
/
ATOMIC_SPECIES
Y 88.91 Y.upf
Zr 91.22 Zr.upf
F 19.00 F.upf
CELL_PARAMETERS angstrom
5.270 -6.304 0.000
5.270 6.304 0.000
-2.255 0.000 7.895
ATOMIC_POSITIONS angstrom
Y 3.579 4.067 5.921
Y 4.706 -4.067 1.974
Zr 4.706 3.160 1.974
Zr 1.498 0.453 5.331
Zr 2.625 -0.453 1.384
Zr 5.659 0.453 6.510
Zr 6.787 -0.453 2.563
Zr 3.579 -3.160 5.921
F -0.268 1.691 6.161
F 0.505 1.310 3.729
F 0.977 0.765 1.184
F 2.107 2.424 5.384
F -0.150 -0.765 5.131
F 3.266 1.697 1.770
F 2.723 3.103 7.866
F -0.622 -1.310 7.676
F 0.860 -1.691 2.214
F 4.434 3.103 3.976
F 1.370 0.206 7.481
F 2.497 -0.206 3.533
F 5.050 2.424 6.458
F 3.579 0.431 5.921
F 2.138 -1.697 5.717
F 6.146 1.697 2.178
F 4.706 -0.431 1.974
F 3.235 -2.424 1.437
F 5.787 0.206 4.361
F 6.915 -0.206 0.414
F 3.850 -3.103 3.918
F 7.425 1.691 5.681
F 8.907 1.310 0.219
F 5.562 -3.103 0.029
F 5.019 -1.697 6.125
F 8.435 0.765 2.763
F 6.177 -2.424 2.510
F 7.308 -0.765 6.711
F 7.779 -1.310 4.166
F 8.552 -1.691 1.733
```

=====

No. 4
Compound: NdNi12B6
Source: the Materials Project database
Functional: PBE
Structure: relaxed Values from VASP.

```
&SYSTEM
  ibrav = 0, nat = 38, ntyp = 3
/
ATOMIC_SPECIES
Nd 144.24 Nd.upf
Ni 58.69 Ni.upf
B 10.81 B.upf
CELL_PARAMETERS angstrom
4.809 -3.699 0.000
4.809 3.699 0.000
0.000 0.000 11.047
ATOMIC_POSITIONS angstrom
Nd 4.809 2.480 5.523
Nd 4.809 -2.480 0.000
Ni 3.052 2.306 10.366
Ni 1.273 0.099 8.365
Ni 1.273 -0.099 2.842
Ni 3.546 1.280 8.133
Ni 3.549 1.161 3.055
Ni 4.809 2.062 1.118
Ni 2.949 0.248 0.766
Ni 2.949 -0.248 6.290
Ni 6.567 2.306 10.366
Ni 4.809 0.489 10.162
Ni 6.073 1.280 8.133
Ni 6.070 1.161 3.055
Ni 3.549 -1.161 8.578
Ni 3.546 -1.280 2.609
Ni 4.809 -0.489 4.638
Ni 3.052 -2.306 4.843
Ni 6.670 0.248 0.766
Ni 6.670 -0.248 6.290
Ni 4.809 -2.062 6.641
Ni 6.070 -1.161 8.578
Ni 6.073 -1.280 2.609
Ni 8.346 0.099 8.365
Ni 8.346 -0.099 2.842
Ni 6.567 -2.306 4.843
B 1.987 1.439 6.895
B 4.809 2.482 9.247
B 2.748 0.284 9.801
B 2.748 -0.284 4.278
B 1.987 -1.439 1.371
B 4.809 0.085 1.727
B 4.809 -0.085 7.250
B 7.632 1.439 6.895
B 6.871 0.284 9.801
B 6.871 -0.284 4.278
B 4.809 -2.482 3.723
B 7.632 -1.439 1.371
```

=====

No. 5
Compound: Al2Zn3N4
Source: the Materials Project database
Functional: PBE
Structure: relaxed Values from VASP.

```
&SYSTEM
  ibrav = 0, nat = 18, ntyp = 3
/
ATOMIC_SPECIES
Al 26.98 Al.upf
Zn 65.41 Zn.upf
N 14.01 N.upf
CELL_PARAMETERS angstrom
4.393 -4.502 0.000
4.393 4.502 0.000
-0.440 0.000 5.290
ATOMIC_POSITIONS angstrom
Al 1.771 1.006 2.015
Al 1.551 -1.006 4.660
Al 6.795 1.006 0.630
Al 6.575 -1.006 3.275
Zn 4.283 3.201 1.322
Zn 2.997 1.467 4.816
Zn 5.128 1.467 3.119
Zn 3.217 -1.467 2.171
Zn 5.349 -1.467 0.474
Zn 4.063 -3.201 3.967
N 1.697 0.703 0.115
N 3.261 1.956 2.704
N 1.476 -0.703 2.759
N 4.865 1.956 5.231
N 3.481 -1.956 0.059
N 6.869 0.703 2.530
N 5.085 -1.956 2.586
N 6.649 -0.703 5.175
```

=====

No. 6
Compound: Na3LiCuPCO7
Source: the Materials Project database
Functional: PBE
Structure: relaxed Values from VASP.

```
&SYSTEM
  ibrav = 0, nat = 28, ntyp = 6
/
ATOMIC_SPECIES
Na 22.99 Na.upf
Li 6.94 Li.upf
Cu 63.55 Cu.upf
P 30.97 P.upf
C 12.01 C.upf
O 16.00 O.upf
CELL_PARAMETERS angstrom
5.159 0.000 0.000
0.000 6.436 0.000
-0.076 0.000 9.879
ATOMIC_POSITIONS angstrom
Na 1.174 1.609 0.877
Na 1.198 0.107 7.507
Na 1.198 3.111 7.507
Na 3.885 3.325 2.371
Na 3.885 6.328 2.371
Na 3.909 4.827 9.002
Li -0.038 0.000 4.939
Li -0.038 3.218 4.939
Cu 1.419 4.827 3.306
Cu 3.664 1.609 6.573
P 1.742 1.609 4.029
P 3.341 4.827 5.850
C 1.379 4.827 0.458
C 3.704 1.609 9.421
O 0.247 4.827 1.095
O 1.102 1.609 5.465
O 1.158 0.360 3.265
O 1.158 2.858 3.265
O 1.305 4.827 9.027
O 1.801 4.827 5.853
O 2.517 4.827 1.095
O 2.566 1.609 8.784
O 3.282 1.609 4.026
O 3.778 1.609 0.852
O 3.925 3.578 6.614
O 3.925 6.075 6.614
O 3.981 4.827 4.414
O 4.836 1.609 8.784
```

=====

No. 7
! Li10CuSi2O10, relaxed, DFT PBE; values from VASP
! E above lowest polymorph: 0.004 eV per atom
&SYSTEM
  ibrav = 0, nat = 46, ntyp = 4
/
ATOMIC_SPECIES
Li 6.94 Li.upf
Cu 63.55 Cu.upf
Si 28.09 Si.upf
O 16.00 O.upf
CELL_PARAMETERS angstrom
15.087 -3.069 0.000
15.087 3.069 0.000
-0.862 0.000 5.124
ATOMIC_POSITIONS angstrom
Li 0.066 0.000 1.394
Li 8.842 1.495 2.029
Li 12.940 1.813 0.502
Li 10.449 1.338 3.860
Li 4.481 0.000 4.754
Li 6.685 0.000 1.651
Li 16.372 1.813 4.621
Li 10.892 0.000 1.135
Li 18.864 1.338 1.264
Li 20.471 1.495 3.094
Li 8.842 -1.495 2.029
Li 10.449 -1.338 3.860
Li 18.421 0.000 3.988
Li 12.940 -1.813 0.502
Li 22.627 0.000 3.472
Li 24.832 0.000 0.369
Li 18.864 -1.338 1.264
Li 16.372 -1.813 4.621
Li 20.471 -1.495 3.094
Li 29.247 0.000 3.730
Cu 13.217 0.000 4.506
Cu 16.095 0.000 0.618
Si 2.590 0.000 2.626
Si 7.718 0.000 4.452
Si 21.595 0.000 0.671
Si 26.723 0.000 2.498
O 1.016 0.000 3.127
O 8.555 1.369 3.995
O 10.842 1.762 1.911
O 2.702 0.000 0.969
O 6.288 0.000 3.692
O 15.087 1.509 0.000
O 8.459 0.000 0.972
O 18.471 1.762 3.212
O 11.412 0.000 4.855
O 20.757 1.369 1.129
O 8.555 -1.369 3.995
O 17.901 0.000 0.269
O 10.842 -1.762 1.911
O 20.853 0.000 4.151
O 15.087 -1.509 0.000
O 23.025 0.000 1.431
O 26.611 0.000 4.155
O 18.471 -1.762 3.212
O 20.757 -1.369 1.129
O 28.296 0.000 1.996

=====

No. 8
Compound: ReSe2
Source: the Materials Project database
Functional: PBE
Structure: relaxed Values from VASP.

```
&SYSTEM
  ibrav = 0, nat = 12, ntyp = 2
/
ATOMIC_SPECIES
Re 186.21 Re.upf
Se 78.96 Se.upf
CELL_PARAMETERS angstrom
3.472 0.000 0.000
-1.736 3.007 0.000
0.000 0.000 25.924
ATOMIC_POSITIONS angstrom
Re 0.000 0.000 0.000
Re 0.000 0.000 6.504
Re 0.000 0.000 19.420
Re 1.736 1.002 12.962
Se 0.000 0.000 11.412
Se 0.000 0.000 14.512
Se 0.000 2.005 4.963
Se 0.000 2.005 8.053
Se 0.000 2.005 17.871
Se 0.000 2.005 20.961
Se 1.736 1.002 1.544
Se 1.736 1.002 24.380
```

=====

| no. | DFT total energy (eV per atom) | formation energy (eV per atom) |
| --- | --- | --- |
| 1 | -8.668 | -3.15 |
| 2 | -5.761 | -0.79 |
| 3 | -6.945 | -4.11 |
| 4 | -6.407 | -0.40 |
| 5 | -5.355 | -0.56 |
| 6 | -6.008 | -2.12 |
| 7 | -5.733 | -2.40 |
| 8 | -6.578 | -0.41 |